[1]
This record from the Materials Project describes a relaxed structure of Ba2MgNi2O6. The functional is PBE+U. Values from VASP.

Structure (Quantum ESPRESSO input):
```
&SYSTEM
  ibrav = 0, nat = 11, ntyp = 4
/
ATOMIC_SPECIES
Mg 24.30 Mg.upf
O 16.00 O.upf
Ni 58.69 Ni.upf
Ba 137.33 Ba.upf
CELL_PARAMETERS angstrom
-5.392 0.460 -2.001
1.356 -4.219 3.695
-1.305 3.330 4.282
ATOMIC_POSITIONS crystal
Mg 0.667 0.333 0.750
O 0.849 0.151 0.750
O 0.849 0.698 0.750
O 0.302 0.151 0.750
O 0.152 0.303 0.250
O 0.152 0.848 0.250
O 0.697 0.848 0.250
Ni 0.000 0.000 0.495
Ni 0.000 0.000 0.005
Ba 0.333 0.667 0.750
Ba 0.667 0.333 0.250
```

Space-group type: P-6m2
Excess energy over the best structure of this formula in the dataset: 2.48 eV per formula unit
Energy relative to the elements: -1.724 eV/atom

[2]
This record from the Materials Project describes a relaxed structure of LiV3O4F8. The functional is PBE+U. Values from VASP.

Structure (Quantum ESPRESSO input):
```
&SYSTEM
  ibrav = 0, nat = 16, ntyp = 4
/
ATOMIC_SPECIES
V 50.94 V.upf
O 16.00 O.upf
F 19.00 F.upf
Li 6.94 Li.upf
CELL_PARAMETERS angstrom
-4.769 1.545 2.111
1.823 -2.279 5.057
3.606 5.959 -0.453
ATOMIC_POSITIONS crystal
V 0.618 0.171 0.339
V 0.981 0.015 0.971
V 0.307 0.638 0.162
O 0.311 0.952 0.151
O 0.535 0.401 0.233
O 0.096 0.296 0.017
O 0.834 0.065 0.203
F 0.664 0.989 0.821
F 0.964 0.673 0.012
F 0.393 0.566 0.920
F 0.158 0.605 0.362
F 0.395 0.213 0.510
F 0.092 0.884 0.752
F 0.866 0.309 0.572
F 0.595 0.807 0.375
Li 0.208 0.455 0.620
```

Space-group type: P1
Energy relative to the elements: -2.641 eV/atom

[3]
This record from the Materials Project describes a relaxed structure of TbCrTeO6. The functional is PBE+U. Values from VASP.

Structure (Quantum ESPRESSO input):
```
&SYSTEM
  ibrav = 0, nat = 18, ntyp = 4
/
ATOMIC_SPECIES
O 16.00 O.upf
Te 127.60 Te.upf
Cr 52.00 Cr.upf
Tb 158.93 Tb.upf
CELL_PARAMETERS angstrom
-3.628 3.604 0.921
4.550 0.194 2.503
3.725 5.589 -7.203
ATOMIC_POSITIONS crystal
O 0.366 0.356 0.140
O 0.634 0.644 0.860
O 0.990 0.634 0.140
O 0.356 0.990 0.860
O 0.356 0.366 0.640
O 0.010 0.644 0.640
O 0.366 0.010 0.360
O 0.644 0.010 0.140
O 0.990 0.356 0.360
O 0.010 0.366 0.860
O 0.644 0.634 0.360
O 0.634 0.990 0.640
Te 0.667 0.333 0.250
Te 0.333 0.667 0.750
Cr 0.333 0.667 0.250
Cr 0.667 0.333 0.750
Tb 0.000 0.000 0.000
Tb 0.000 0.000 0.500
```

Space-group type: P-31c
Excess energy over the best structure of this formula in the dataset: 0.00 eV per formula unit
Energy relative to the elements: -2.542 eV/atom

[4]
This record from the Materials Project describes a relaxed structure of RbNa2NiF6. The functional is PBE+U. Values from VASP.

Structure (Quantum ESPRESSO input):
```
&SYSTEM
  ibrav = 0, nat = 10, ntyp = 4
/
ATOMIC_SPECIES
Rb 85.47 Rb.upf
F 19.00 F.upf
Na 22.99 Na.upf
Ni 58.69 Ni.upf
CELL_PARAMETERS angstrom
-5.199 3.309 -1.152
-4.054 -1.951 -4.367
-5.595 -2.259 1.702
ATOMIC_POSITIONS crystal
Rb 0.500 0.500 0.500
F 0.213 0.787 0.787
F 0.787 0.787 0.213
F 0.213 0.213 0.787
F 0.787 0.213 0.787
F 0.213 0.787 0.213
F 0.787 0.213 0.213
Na 0.250 0.250 0.250
Na 0.750 0.750 0.750
Ni 0.000 0.000 0.000
```

Space-group type: Fm-3m
Energy relative to the elements: -2.357 eV/atom

[5]
This record from the Materials Project describes a relaxed structure of Gd2Cr2O5. The functional is PBE+U. Values from VASP.

Structure (Quantum ESPRESSO input):
```
&SYSTEM
  ibrav = 0, nat = 9, ntyp = 3
/
ATOMIC_SPECIES
O 16.00 O.upf
Cr 52.00 Cr.upf
Gd 157.25 Gd.upf
CELL_PARAMETERS angstrom
-1.528 -2.704 -2.387
0.211 -2.655 2.872
-6.571 1.811 2.156
ATOMIC_POSITIONS crystal
O 0.000 0.500 0.775
O 0.500 0.000 0.775
O 0.500 0.500 0.500
O 0.500 0.000 0.225
O 0.000 0.500 0.225
Cr 0.500 0.500 0.219
Cr 0.500 0.500 0.781
Gd 0.000 0.000 0.500
Gd 0.000 0.000 0.000
```

Space-group type: P4/mmm
Energy relative to the elements: -2.748 eV/atom

[6]
This record from the Materials Project describes a relaxed structure of Li5Co2Cu2P4O16. The functional is PBE+U. Values from VASP.

Structure (Quantum ESPRESSO input):
```
&SYSTEM
  ibrav = 0, nat = 29, ntyp = 5
/
ATOMIC_SPECIES
O 16.00 O.upf
Li 6.94 Li.upf
Co 58.93 Co.upf
Cu 63.55 Cu.upf
P 30.97 P.upf
CELL_PARAMETERS angstrom
4.858 0.000 0.000
0.096 6.214 0.000
0.540 0.377 10.215
ATOMIC_POSITIONS crystal
O 0.701 0.253 0.948
O 0.733 0.444 0.158
O 0.772 0.749 0.394
O 0.820 0.230 0.459
O 0.283 0.255 0.112
O 0.243 0.557 0.340
O 0.746 0.451 0.658
O 0.300 0.745 0.053
O 0.721 0.034 0.161
O 0.271 0.553 0.845
O 0.717 0.750 0.888
O 0.181 0.763 0.544
O 0.787 0.061 0.687
O 0.225 0.271 0.607
O 0.225 0.948 0.320
O 0.276 0.966 0.842
Li 0.535 0.000 0.462
Li 0.459 0.509 0.524
Li 0.045 0.486 0.019
Li 0.895 0.023 0.870
Li 0.107 0.979 0.132
Co 0.456 0.262 0.784
Co 0.545 0.732 0.214
Cu 0.085 0.271 0.302
Cu 0.916 0.731 0.704
P 0.400 0.754 0.904
P 0.911 0.252 0.601
P 0.603 0.246 0.096
P 0.086 0.754 0.402
```

Space-group type: P1
Energy relative to the elements: -2.286 eV/atom